Record 1
Material: Sb4O9
Method: DFT, GGA-PBE
State: optimized geometry

a = 9.908 Å, b = 3.888 Å, c = 10.040 Å
α = 90.00°, β = 90.35°, γ = 90.00°
Fractional coordinates of all 26 atoms:
Sb 0.028 0.000 0.338
Sb 0.165 0.000 0.027
Sb 0.340 0.000 0.489
Sb 0.464 0.000 0.157
Sb 0.536 0.000 0.843
Sb 0.660 0.000 0.511
Sb 0.835 0.000 0.973
Sb 0.972 0.000 0.662
O 0.022 0.000 0.870
O 0.035 0.500 0.320
O 0.130 0.000 0.530
O 0.172 0.500 0.005
O 0.256 0.000 0.212
O 0.324 0.500 0.470
O 0.373 0.000 0.969
O 0.481 0.000 0.636
O 0.490 0.500 0.172
O 0.510 0.500 0.828
O 0.519 0.000 0.364
O 0.627 0.000 0.031
O 0.676 0.500 0.530
O 0.744 0.000 0.788
O 0.828 0.500 0.995
O 0.870 0.000 0.470
O 0.965 0.500 0.680
O 0.978 0.000 0.130

Output
**Calculated total energy**: -5.785 eV/atom
**Energy relative to the elements**: -1.5642 eV/atom
**Calculated volume**: 14.9 Å³/atom
**Total energy after the MP2020 corrections**: -6.26 eV per atom

---

Record 2
Material: Na4Cu3S8N5O12
Method: DFT, GGA-PBE
State: optimized geometry

a = 10.162 Å, b = 10.162 Å, c = 10.162 Å
α = 94.82°, β = 94.82°, γ = 146.32°
Fractional coordinates of all 32 atoms:
Na 0.174 0.287 0.461
Na 0.287 0.826 0.113
Na 0.713 0.174 0.887
Na 0.826 0.713 0.539
Cu 0.250 0.750 0.500
Cu 0.500 0.500 0.000
Cu 0.750 0.250 0.500
S 0.087 0.730 0.817
S 0.103 0.573 0.676
S 0.270 0.087 0.357
S 0.427 0.103 0.530
S 0.573 0.897 0.470
S 0.730 0.913 0.643
S 0.897 0.427 0.324
S 0.913 0.270 0.183
N 0.000 0.000 0.000
N 0.369 0.540 0.909
N 0.460 0.369 0.829
N 0.540 0.631 0.171
N 0.631 0.460 0.091
O 0.016 0.247 0.262
O 0.035 0.933 0.380
O 0.067 0.447 0.101
O 0.247 0.984 0.231
O 0.346 0.965 0.899
O 0.447 0.346 0.380
O 0.553 0.654 0.620
O 0.654 0.035 0.101
O 0.753 0.016 0.769
O 0.933 0.553 0.899
O 0.965 0.067 0.620
O 0.984 0.753 0.738

Output
**Calculated total energy**: -4.921 eV/atom
**Energy relative to the elements**: -0.4369 eV/atom
**Calculated volume**: 17.4 Å³/atom
**Total energy after the MP2020 corrections**: -5.18 eV per atom

---

Record 3
Material: MgB3H15O13
Method: DFT, GGA-PBE
State: optimized geometry

a = 6.849 Å, b = 13.164 Å, c = 12.109 Å
α = 90.00°, β = 104.64°, γ = 90.00°
Fractional coordinates of all 128 atoms:
Mg 0.246 0.215 0.383
Mg 0.246 0.285 0.883
Mg 0.754 0.715 0.117
Mg 0.754 0.785 0.617
B 0.100 0.618 0.314
B 0.100 0.882 0.814
B 0.121 0.514 0.808
B 0.121 0.986 0.308
B 0.222 0.516 0.170
B 0.222 0.984 0.670
B 0.778 0.016 0.330
B 0.778 0.484 0.830
B 0.879 0.014 0.692
B 0.879 0.486 0.192
B 0.900 0.118 0.186
B 0.900 0.382 0.686
H 0.008 0.742 0.474
H 0.008 0.758 0.974
H 0.056 0.142 0.552
H 0.056 0.358 0.052
H 0.082 0.728 0.772
H 0.082 0.772 0.272
H 0.114 0.084 0.858
H 0.114 0.416 0.358
H 0.235 0.034 0.130
H 0.235 0.466 0.630
H 0.239 0.589 0.486
H 0.239 0.911 0.986
H 0.283 0.096 0.971
H 0.283 0.404 0.471
H 0.290 0.035 0.464
H 0.290 0.465 0.964
H 0.307 0.610 0.746
H 0.307 0.890 0.246
H 0.363 0.247 0.187
H 0.363 0.253 0.687
H 0.378 0.731 0.471
H 0.378 0.769 0.971
H 0.433 0.663 0.930
H 0.433 0.837 0.430
H 0.454 0.686 0.238
H 0.454 0.814 0.738
H 0.474 0.035 0.136
H 0.474 0.465 0.636
H 0.495 0.527 0.125
H 0.495 0.973 0.625
H 0.505 0.027 0.375
H 0.505 0.473 0.875
H 0.526 0.535 0.364
H 0.526 0.965 0.864
H 0.546 0.186 0.262
H 0.546 0.314 0.762
H 0.567 0.163 0.570
H 0.567 0.337 0.070
H 0.622 0.231 0.029
H 0.622 0.269 0.529
H 0.637 0.747 0.313
H 0.637 0.753 0.813
H 0.693 0.110 0.754
H 0.693 0.390 0.254
H 0.710 0.535 0.036
H 0.710 0.965 0.536
H 0.717 0.596 0.529
H 0.717 0.904 0.029
H 0.761 0.089 0.014
H 0.761 0.411 0.514
H 0.765 0.534 0.370
H 0.765 0.966 0.870
H 0.886 0.584 0.642
H 0.886 0.916 0.142
H 0.918 0.228 0.728
H 0.918 0.272 0.228
H 0.944 0.642 0.948
H 0.944 0.858 0.448
H 0.992 0.242 0.026
H 0.992 0.258 0.526
O 0.000 0.209 0.246
O 0.000 0.291 0.746
O 0.000 0.709 0.254
O 0.000 0.791 0.754
O 0.043 0.035 0.636
O 0.043 0.465 0.136
O 0.044 0.033 0.196
O 0.044 0.467 0.696
O 0.081 0.204 0.510
O 0.081 0.296 0.010
O 0.186 0.646 0.435
O 0.186 0.854 0.935
O 0.219 0.613 0.798
O 0.219 0.887 0.298
O 0.224 0.130 0.897
O 0.224 0.370 0.397
O 0.269 0.585 0.259
O 0.269 0.915 0.759
O 0.271 0.057 0.383
O 0.271 0.443 0.883
O 0.340 0.019 0.086
O 0.340 0.481 0.586
O 0.361 0.007 0.608
O 0.361 0.493 0.108
O 0.437 0.234 0.266
O 0.437 0.266 0.766
O 0.489 0.717 0.985
O 0.489 0.783 0.485
O 0.511 0.217 0.515
O 0.511 0.283 0.015
O 0.563 0.734 0.234
O 0.563 0.766 0.734
O 0.639 0.507 0.892
O 0.639 0.993 0.392
O 0.660 0.519 0.414
O 0.660 0.981 0.914
O 0.729 0.557 0.117
O 0.729 0.943 0.617
O 0.731 0.085 0.241
O 0.731 0.415 0.741
O 0.776 0.630 0.603
O 0.776 0.870 0.103
O 0.781 0.113 0.702
O 0.781 0.387 0.202
O 0.814 0.146 0.065
O 0.814 0.354 0.565
O 0.919 0.704 0.990
O 0.919 0.796 0.490
O 0.956 0.533 0.304
O 0.956 0.967 0.804
O 0.957 0.535 0.864
O 0.957 0.965 0.364

Output
**Calculated total energy**: -5.762 eV/atom
**Energy relative to the elements**: -1.7646 eV/atom
**Calculated volume**: 8.3 Å³/atom
**Total energy after the MP2020 corrections**: -6.04 eV per atom

---

Record 4
Material: Sn2Pb5N6
Method: DFT, GGA-PBE
State: optimized geometry

a = 6.390 Å, b = 6.390 Å, c = 14.526 Å
α = 96.67°, β = 96.67°, γ = 68.54°
Fractional coordinates of all 26 atoms:
Sn 0.107 0.372 0.414
Sn 0.372 0.107 0.914
Sn 0.628 0.893 0.086
Sn 0.893 0.628 0.586
Pb 0.114 0.126 0.686
Pb 0.126 0.114 0.186
Pb 0.213 0.633 0.039
Pb 0.367 0.787 0.461
Pb 0.474 0.526 0.750
Pb 0.526 0.474 0.250
Pb 0.633 0.213 0.539
Pb 0.787 0.367 0.961
Pb 0.874 0.886 0.814
Pb 0.886 0.874 0.314
N 0.054 0.166 0.850
N 0.166 0.054 0.350
N 0.225 0.404 0.557
N 0.226 0.572 0.343
N 0.404 0.225 0.057
N 0.428 0.774 0.157
N 0.572 0.226 0.843
N 0.596 0.775 0.943
N 0.774 0.428 0.657
N 0.775 0.596 0.443
N 0.834 0.946 0.650
N 0.946 0.834 0.150

Output
**Calculated total energy**: -5.369 eV/atom
**Energy relative to the elements**: 0.3566 eV/atom
**Calculated volume**: 21.0 Å³/atom
**Total energy after the MP2020 corrections**: -5.54 eV per atom

---

Record 5
Material: KRb2AlF6
Method: DFT, GGA-PBE
State: optimized geometry

a = 6.245 Å, b = 6.245 Å, c = 6.245 Å
α = 60.00°, β = 60.00°, γ = 60.00°
Fractional coordinates of all 10 atoms:
K 0.000 0.000 0.000
Rb 0.250 0.250 0.250
Rb 0.750 0.750 0.750
Al 0.500 0.500 0.500
F 0.291 0.291 0.709
F 0.291 0.709 0.291
F 0.291 0.709 0.709
F 0.709 0.291 0.291
F 0.709 0.291 0.709
F 0.709 0.709 0.291

Output
**Calculated total energy**: -4.981 eV/atom
**Energy relative to the elements**: -3.4276 eV/atom
**Calculated volume**: 17.2 Å³/atom
**Total energy after the MP2020 corrections**: -5.26 eV per atom

---

Record 6
Material: YGePd
Method: DFT, GGA-PBE
State: optimized geometry

a = 5.687 Å, b = 5.687 Å, c = 7.048 Å
α = 128.24°, β = 128.24°, γ = 45.31°
Fractional coordinates of all 6 atoms:
Y 0.045 0.045 0.286
Y 0.955 0.955 0.714
Ge 0.341 0.341 0.285
Ge 0.659 0.659 0.715
Pd 0.323 0.323 0.873
Pd 0.677 0.677 0.127

Output
**Calculated total energy**: -6.342 eV/atom
**Energy relative to the elements**: -0.9187 eV/atom
**Calculated volume**: 20.0 Å³/atom